The following is a DFT calculation (r2SCAN) of a relaxed Th2Hg crystal.

a = 6.243 Å, b = 6.243 Å, c = 6.243 Å
α = 102.76°, β = 102.76°, γ = 123.93°
Fractional coordinates of all 6 atoms:
Th  0.154  0.654  0.807
Th  0.346  0.154  0.500
Th  0.654  0.846  0.500
Th  0.846  0.346  0.193
Hg  0.250  0.250  0.000
Hg  0.750  0.750  0.000

Values from the calculation:
- V: 178.2 Å³ per cell
- Magnetization: 0.0 μB per formula unit
- Energy of formation: -0.20 eV per atom


The following is a DFT calculation (r2SCAN) of a relaxed ZrTiTe4 crystal.

a = 6.793 Å, b = 3.925 Å, c = 6.869 Å
α = 90.00°, β = 90.12°, γ = 90.00°
Fractional coordinates of all 6 atoms:
Zr  0.000  0.000  0.000
Ti  0.500  0.500  0.000
Te  0.176  0.500  0.744
Te  0.344  0.000  0.247
Te  0.656  0.000  0.753
Te  0.824  0.500  0.256

Values from the calculation:
- V: 183.1 Å³ per cell
- Magnetization: 0.0 μB per formula unit
- Energy of formation: -0.93 eV per atom


The following is a DFT calculation (r2SCAN) of a relaxed In4Se3 crystal.

a = 12.485 Å, b = 15.579 Å, c = 4.115 Å
α = 90.00°, β = 90.00°, γ = 90.00°
Fractional coordinates of all 28 atoms:
In  0.026  0.188  0.000
In  0.107  0.425  0.000
In  0.144  0.036  0.000
In  0.160  0.711  0.000
In  0.340  0.211  0.500
In  0.356  0.536  0.500
In  0.393  0.925  0.500
In  0.474  0.688  0.500
In  0.526  0.312  0.500
In  0.607  0.075  0.500
In  0.644  0.464  0.500
In  0.660  0.789  0.500
In  0.840  0.289  0.000
In  0.856  0.964  0.000
In  0.893  0.575  0.000
In  0.974  0.812  0.000
Se  0.140  0.271  0.500
Se  0.153  0.599  0.500
Se  0.157  0.929  0.500
Se  0.343  0.429  0.000
Se  0.347  0.099  0.000
Se  0.360  0.771  0.000
Se  0.640  0.229  0.000
Se  0.653  0.901  0.000
Se  0.657  0.571  0.000
Se  0.843  0.071  0.500
Se  0.847  0.401  0.500
Se  0.860  0.729  0.500

Values from the calculation:
- V: 800.3 Å³ per cell
- Magnetization: 0.0 μB per formula unit
- Energy of formation: -0.56 eV per atom


The following is a DFT calculation (r2SCAN) of a relaxed LaCu5 crystal.

a = 5.128 Å, b = 5.128 Å, c = 4.074 Å
α = 90.00°, β = 90.00°, γ = 120.00°
Fractional coordinates of all 6 atoms:
La  0.000  0.000  0.000
Cu  0.000  0.500  0.500
Cu  0.333  0.667  0.000
Cu  0.500  0.000  0.500
Cu  0.500  0.500  0.500
Cu  0.667  0.333  0.000

Values from the calculation:
- V: 92.8 Å³ per cell
- Magnetization: 0.0 μB per formula unit
- Energy of formation: -0.14 eV per atom


The following is a DFT calculation (r2SCAN) of a relaxed NdDy3 crystal.

a = 7.292 Å, b = 7.292 Å, c = 5.829 Å
α = 90.00°, β = 90.00°, γ = 120.00°
Fractional coordinates of all 8 atoms:
Nd  0.333  0.667  0.250
Nd  0.667  0.333  0.750
Dy  0.165  0.329  0.750
Dy  0.165  0.835  0.750
Dy  0.329  0.165  0.250
Dy  0.671  0.835  0.750
Dy  0.835  0.165  0.250
Dy  0.835  0.671  0.250

Values from the calculation:
- V: 268.4 Å³ per cell
- Magnetization: 2.4 μB per formula unit
- Energy of formation: 0.01 eV per atom


The following is a DFT calculation (r2SCAN) of a relaxed K2Zr2ZnH12O6F12 crystal.

a = 6.535 Å, b = 9.949 Å, c = 12.872 Å
α = 90.00°, β = 114.43°, γ = 90.00°
Fractional coordinates of all 70 atoms:
K  0.107  0.219  0.082
K  0.107  0.281  0.582
K  0.893  0.719  0.418
K  0.893  0.781  0.918
Zr  0.311  0.015  0.851
Zr  0.311  0.485  0.351
Zr  0.689  0.515  0.649
Zr  0.689  0.985  0.149
Zn  0.500  0.000  0.500
Zn  0.500  0.500  0.000
H  0.081  0.065  0.386
H  0.081  0.435  0.886
H  0.229  0.185  0.378
H  0.229  0.315  0.878
H  0.263  0.575  0.109
H  0.263  0.925  0.609
H  0.299  0.690  0.833
H  0.299  0.810  0.333
H  0.374  0.566  0.779
H  0.374  0.934  0.279
H  0.423  0.695  0.113
H  0.423  0.805  0.613
H  0.577  0.195  0.387
H  0.577  0.305  0.887
H  0.626  0.066  0.721
H  0.626  0.434  0.221
H  0.701  0.190  0.667
H  0.701  0.310  0.167
H  0.737  0.075  0.391
H  0.737  0.425  0.891
H  0.771  0.685  0.122
H  0.771  0.815  0.622
H  0.919  0.565  0.114
H  0.919  0.935  0.614
O  0.213  0.120  0.431
O  0.213  0.380  0.931
O  0.317  0.629  0.062
O  0.317  0.871  0.562
O  0.402  0.614  0.850
O  0.402  0.886  0.350
O  0.598  0.114  0.650
O  0.598  0.386  0.150
O  0.683  0.129  0.438
O  0.683  0.371  0.938
O  0.787  0.620  0.069
O  0.787  0.880  0.569
F  0.070  0.067  0.899
F  0.070  0.433  0.399
F  0.141  0.027  0.674
F  0.141  0.473  0.174
F  0.149  0.666  0.303
F  0.149  0.834  0.803
F  0.337  0.213  0.809
F  0.337  0.287  0.309
F  0.419  0.035  0.180
F  0.419  0.465  0.680
F  0.462  0.616  0.495
F  0.462  0.884  0.995
F  0.538  0.116  0.005
F  0.538  0.384  0.505
F  0.581  0.535  0.320
F  0.581  0.965  0.820
F  0.663  0.713  0.691
F  0.663  0.787  0.191
F  0.851  0.166  0.197
F  0.851  0.334  0.697
F  0.859  0.527  0.826
F  0.859  0.973  0.326
F  0.930  0.567  0.601
F  0.930  0.933  0.101

Values from the calculation:
- V: 762.0 Å³ per cell
- Magnetization: 0.0 μB per formula unit
- Energy of formation: -2.30 eV per atom